Entry one
Density functional theory data (r²SCAN) for CaMg2C3O9 after structural relaxation.

Cell and atoms, written as CIF:
```
data_CaMg2C3O9
_cell_length_a 5.8935
_cell_length_b 7.5587
_cell_length_c 8.2389
_cell_angle_alpha 111.20
_cell_angle_beta 103.47
_cell_angle_gamma 105.69
_symmetry_space_group_name_H-M 'P -1'
_symmetry_Int_Tables_number 2
_symmetry_space_group_name_Hall '-P 1'
loop_
_atom_site_label
_atom_site_fract_x
_atom_site_fract_y
_atom_site_fract_z
Ca1 0.1660 0.1687 0.3324
Mg1 0.1688 0.6699 0.3344
Mg2 0.5000 0.0000 0.0000
Mg3 0.5000 0.5000 0.0000
C1 0.0036 0.7358 0.9980
C2 0.3232 0.5842 0.6726
C3 0.3502 0.0838 0.6748
O1 0.0893 0.3668 0.1812
O2 0.0901 0.3356 0.9006
O3 0.1393 0.4071 0.5942
O4 0.1881 0.9140 0.0764
O5 0.2525 0.9807 0.4946
O6 0.2748 0.0012 0.7743
O7 0.3954 0.6645 0.5700
O8 0.4401 0.6798 0.8528
O9 0.4815 0.7296 0.2461
```


Entry two
Density functional theory data (r²SCAN) for CaMg2C3O9 after structural relaxation.

Cell and atoms, written as CIF:
```
data_CaMg2C3O9
_cell_length_a 4.7527
_cell_length_b 4.7527
_cell_length_c 15.6175
_cell_angle_alpha 90.00
_cell_angle_beta 90.00
_cell_angle_gamma 120.00
_symmetry_space_group_name_H-M 'P -3'
_symmetry_Int_Tables_number 147
_symmetry_space_group_name_Hall '-P 3'
loop_
_atom_site_label
_atom_site_fract_x
_atom_site_fract_y
_atom_site_fract_z
Ca1 0.3333 0.6667 0.3281
Mg1 0.0000 0.0000 0.0000
Mg2 0.0000 0.0000 0.5000
Mg3 0.3333 0.6667 0.8446
C1 0.0000 0.0000 0.2347
C2 0.3333 0.6667 0.0785
C3 0.3333 0.6667 0.5779
O1 0.0371 0.2875 0.7641
O2 0.0627 0.3935 0.0785
O3 0.0802 0.6993 0.5790
```


Stability verdict: entry two, ahead by 9 meV per atom


Entry one
Density functional theory data (r²SCAN) for H after structural relaxation.

Cell and atoms, written as CIF:
```
data_H
_cell_length_a 0.9794
_cell_length_b 2.7107
_cell_length_c 2.7233
_cell_angle_alpha 118.11
_cell_angle_beta 92.38
_cell_angle_gamma 92.06
_symmetry_space_group_name_H-M 'P -1'
_symmetry_Int_Tables_number 2
_symmetry_space_group_name_Hall '-P 1'
loop_
_atom_site_label
_atom_site_fract_x
_atom_site_fract_y
_atom_site_fract_z
H1 0.0000 0.0000 0.0000
```


Entry two
Density functional theory data (r²SCAN) for H after structural relaxation.

Cell and atoms, written as CIF:
```
data_H
_cell_length_a 3.8401
_cell_length_b 3.8401
_cell_length_c 5.0467
_cell_angle_alpha 90.00
_cell_angle_beta 90.00
_cell_angle_gamma 120.00
_symmetry_space_group_name_H-M 'P 63/m m c'
_symmetry_Int_Tables_number 194
_symmetry_space_group_name_Hall '-P 6c 2c'
loop_
_atom_site_label
_atom_site_fract_x
_atom_site_fract_y
_atom_site_fract_z
H1 0.3333 0.6667 0.1765
```


Stability verdict: entry two, ahead by 393 meV per atom


Entry one
Density functional theory data (r²SCAN) for KPb2Cl5 after structural relaxation.

Cell and atoms, written as CIF:
```
data_KPb2Cl5
_cell_length_a 12.4952
_cell_length_b 8.1069
_cell_length_c 8.8352
_cell_angle_alpha 90.00
_cell_angle_beta 90.00
_cell_angle_gamma 90.00
_symmetry_space_group_name_H-M 'P n a 21'
_symmetry_Int_Tables_number 33
_symmetry_space_group_name_Hall 'P 2c -2n'
loop_
_atom_site_label
_atom_site_fract_x
_atom_site_fract_y
_atom_site_fract_z
K1 0.1722 0.0287 0.0000
Pb1 0.0032 0.5816 0.2426
Pb2 0.1813 0.9970 0.5101
Cl1 0.0041 0.0467 0.7383
Cl2 0.0896 0.6763 0.5339
Cl3 0.0991 0.6550 0.9503
Cl4 0.1904 0.3544 0.2273
Cl5 0.2235 0.3134 0.7571
```


Entry two
Density functional theory data (r²SCAN) for KPb2Cl5 after structural relaxation.

Cell and atoms, written as CIF:
```
data_KPb2Cl5
_cell_length_a 8.8720
_cell_length_b 7.9894
_cell_length_c 12.5642
_cell_angle_alpha 90.00
_cell_angle_beta 90.14
_cell_angle_gamma 90.00
_symmetry_space_group_name_H-M 'P 1 21/c 1'
_symmetry_Int_Tables_number 14
_symmetry_space_group_name_Hall '-P 2ybc'
loop_
_atom_site_label
_atom_site_fract_x
_atom_site_fract_y
_atom_site_fract_z
K1 0.0095 0.0488 0.3290
Pb1 0.2446 0.5666 0.4942
Pb2 0.4905 0.5016 0.1747
Cl1 0.0412 0.1787 0.0812
Cl2 0.2640 0.6889 0.7196
Cl3 0.2674 0.1532 0.8112
Cl4 0.2786 0.5404 0.9979
Cl5 0.4577 0.1645 0.1001
```


Stability verdict: entry two, ahead by 13 meV per atom


Entry one
Density functional theory data (r²SCAN) for Cs after structural relaxation.

Cell and atoms, written as CIF:
```
data_Cs
_cell_length_a 19.2776
_cell_length_b 19.2776
_cell_length_c 19.2776
_cell_angle_alpha 90.00
_cell_angle_beta 90.00
_cell_angle_gamma 90.00
_symmetry_space_group_name_H-M 'I -4 3 m'
_symmetry_Int_Tables_number 217
_symmetry_space_group_name_Hall 'I -4 2 3'
loop_
_atom_site_label
_atom_site_fract_x
_atom_site_fract_y
_atom_site_fract_z
Cs1 0.0000 0.0000 0.0000
Cs2 0.0438 0.3609 0.6391
Cs3 0.0921 0.0921 0.7183
Cs4 0.1824 0.1824 0.1824
```


Entry two
Density functional theory data (r²SCAN) for Cs after structural relaxation.

Cell and atoms, written as CIF:
```
data_Cs
_cell_length_a 5.5659
_cell_length_b 5.5659
_cell_length_c 18.5216
_cell_angle_alpha 90.00
_cell_angle_beta 90.00
_cell_angle_gamma 120.00
_symmetry_space_group_name_H-M 'P 63/m m c'
_symmetry_Int_Tables_number 194
_symmetry_space_group_name_Hall '-P 6c 2c'
loop_
_atom_site_label
_atom_site_fract_x
_atom_site_fract_y
_atom_site_fract_z
Cs1 0.0000 0.0000 0.0000
Cs2 0.3333 0.6667 0.2500
```


Entry three
Density functional theory data (r²SCAN) for Cs after structural relaxation.

Cell and atoms, written as CIF:
```
data_Cs
_cell_length_a 14.1472
_cell_length_b 11.8458
_cell_length_c 11.7326
_cell_angle_alpha 90.00
_cell_angle_beta 90.00
_cell_angle_gamma 90.00
_symmetry_space_group_name_H-M 'C m c e'
_symmetry_Int_Tables_number 64
_symmetry_space_group_name_Hall '-C 2ac 2'
loop_
_atom_site_label
_atom_site_fract_x
_atom_site_fract_y
_atom_site_fract_z
Cs1 0.0000 0.2496 0.2487
Cs2 0.2474 0.0000 0.0000
```


Stability verdict: entry three, ahead by 13 meV per atom


Entry one
Density functional theory data (r²SCAN) for Cs after structural relaxation.

Cell and atoms, written as CIF:
```
data_Cs
_cell_length_a 5.5193
_cell_length_b 10.0517
_cell_length_c 8.9881
_cell_angle_alpha 90.00
_cell_angle_beta 90.00
_cell_angle_gamma 90.00
_symmetry_space_group_name_H-M 'P b c m'
_symmetry_Int_Tables_number 57
_symmetry_space_group_name_Hall '-P 2c 2b'
loop_
_atom_site_label
_atom_site_fract_x
_atom_site_fract_y
_atom_site_fract_z
Cs1 0.2393 0.1053 0.2500
```


Entry two
Density functional theory data (r²SCAN) for Cs after structural relaxation.

Cell and atoms, written as CIF:
```
data_Cs
_cell_length_a 5.1077
_cell_length_b 5.1077
_cell_length_c 19.1921
_cell_angle_alpha 90.00
_cell_angle_beta 90.00
_cell_angle_gamma 90.00
_symmetry_space_group_name_H-M 'I 41/a m d'
_symmetry_Int_Tables_number 141
loop_
_symmetry_equiv_pos_as_xyz
'x,y,z'
'-x,-y,-z'
'-y+1/4,x+3/4,z+1/4'
'y+1/4,-x+3/4,-z+1/4'
'-x+1/2,-y,z+1/2'
'x+1/2,y,-z+1/2'
'y+1/4,-x+1/4,z+3/4'
'-y+1/4,x+1/4,-z+3/4'
'x,-y,-z'
'-x,y,z'
'-y+1/4,-x+1/4,-z+3/4'
'y+1/4,x+1/4,z+3/4'
'-x+1/2,y,-z+1/2'
'x+1/2,-y,z+1/2'
'y+1/4,x+3/4,-z+1/4'
'-y+1/4,-x+3/4,z+1/4'
'x+1/2,y+1/2,z+1/2'
'-x+1/2,-y+1/2,-z+1/2'
'-y+3/4,x+1/4,z+3/4'
'y+3/4,-x+1/4,-z+3/4'
'-x,-y+1/2,z'
'x,y+1/2,-z'
'y+3/4,-x+3/4,z+1/4'
'-y+3/4,x+3/4,-z+1/4'
'x+1/2,-y+1/2,-z+1/2'
'-x+1/2,y+1/2,z+1/2'
'-y+3/4,-x+3/4,-z+1/4'
'y+3/4,x+3/4,z+1/4'
'-x,y+1/2,-z'
'x,-y+1/2,z'
'y+3/4,x+1/4,-z+3/4'
'-y+3/4,-x+1/4,z+3/4'
loop_
_atom_site_label
_atom_site_fract_x
_atom_site_fract_y
_atom_site_fract_z
Cs1 0.0000 0.2500 0.3750
```


Stability verdict: entry one, ahead by 50 meV per atom


Entry one
Density functional theory data (r²SCAN) for Mg3Au after structural relaxation.

Cell and atoms, written as CIF:
```
data_Mg3Au
_cell_length_a 8.0281
_cell_length_b 8.0281
_cell_length_c 8.5093
_cell_angle_alpha 90.00
_cell_angle_beta 90.00
_cell_angle_gamma 120.00
_symmetry_space_group_name_H-M 'P 63 c m'
_symmetry_Int_Tables_number 185
_symmetry_space_group_name_Hall 'P 6c -2'
loop_
_atom_site_label
_atom_site_fract_x
_atom_site_fract_y
_atom_site_fract_z
Mg1 0.0000 0.0000 0.0000
Mg2 0.0000 0.2789 0.2583
Mg3 0.0000 0.3753 0.6015
Mg4 0.3333 0.6667 0.3817
Au1 0.0000 0.3285 0.9292
```


Entry two
Density functional theory data (r²SCAN) for Mg3Au after structural relaxation.

Cell and atoms, written as CIF:
```
data_Mg3Au
_cell_length_a 4.6639
_cell_length_b 4.6639
_cell_length_c 8.4769
_cell_angle_alpha 90.00
_cell_angle_beta 90.00
_cell_angle_gamma 120.00
_symmetry_space_group_name_H-M 'P 63/m m c'
_symmetry_Int_Tables_number 194
_symmetry_space_group_name_Hall '-P 6c 2c'
loop_
_atom_site_label
_atom_site_fract_x
_atom_site_fract_y
_atom_site_fract_z
Mg1 0.0000 0.0000 0.2500
Mg2 0.3333 0.6667 0.0774
Au1 0.3333 0.6667 0.7500
```


Stability verdict: entry one, ahead by 16 meV per atom


Entry one
Density functional theory data (r²SCAN) for Hg after structural relaxation.

Cell and atoms, written as CIF:
```
data_Hg
_cell_length_a 3.4419
_cell_length_b 3.4419
_cell_length_c 11.0623
_cell_angle_alpha 90.00
_cell_angle_beta 90.00
_cell_angle_gamma 120.00
_symmetry_space_group_name_H-M 'P 63/m m c'
_symmetry_Int_Tables_number 194
_symmetry_space_group_name_Hall '-P 6c 2c'
loop_
_atom_site_label
_atom_site_fract_x
_atom_site_fract_y
_atom_site_fract_z
Hg1 0.0000 0.0000 0.0000
Hg2 0.3333 0.6667 0.2500
```


Entry two
Density functional theory data (r²SCAN) for Hg after structural relaxation.

Cell and atoms, written as CIF:
```
data_Hg
_cell_length_a 4.7838
_cell_length_b 4.7838
_cell_length_c 4.7838
_cell_angle_alpha 90.00
_cell_angle_beta 90.00
_cell_angle_gamma 90.00
_symmetry_space_group_name_H-M 'F m -3 m'
_symmetry_Int_Tables_number 225
_symmetry_space_group_name_Hall '-F 4 2 3'
loop_
_atom_site_label
_atom_site_fract_x
_atom_site_fract_y
_atom_site_fract_z
Hg1 0.0000 0.0000 0.0000
```


Stability verdict: entry one, ahead by 12 meV per atom


Entry one
Density functional theory data (r²SCAN) for V4O3F9 after structural relaxation.

Cell and atoms, written as CIF:
```
data_V4O3F9
_cell_length_a 5.0868
_cell_length_b 5.2915
_cell_length_c 8.8772
_cell_angle_alpha 72.69
_cell_angle_beta 88.82
_cell_angle_gamma 61.44
_symmetry_space_group_name_H-M 'P 1'
_symmetry_Int_Tables_number 1
_symmetry_space_group_name_Hall 'P 1'
loop_
_atom_site_label
_atom_site_fract_x
_atom_site_fract_y
_atom_site_fract_z
V1 0.0000 0.0000 0.0000
V2 0.2428 0.4987 0.7432
V3 0.5119 0.0349 0.4748
V4 0.7561 0.5167 0.2381
O1 0.1024 0.2768 0.8268
O2 0.5834 0.2627 0.3258
O3 0.9229 0.7709 0.1463
F1 0.0189 0.8054 0.8439
F2 0.0732 0.2712 0.4163
F3 0.4256 0.7662 0.6493
F4 0.4377 0.7600 0.0612
F5 0.4978 0.2485 0.6214
F6 0.5192 0.7720 0.3580
F7 0.5827 0.3042 0.9123
F8 0.9387 0.7484 0.5560
F9 0.9952 0.2562 0.1210
```


Entry two
Density functional theory data (r²SCAN) for V4O3F9 after structural relaxation.

Cell and atoms, written as CIF:
```
data_V4O3F9
_cell_length_a 5.0810
_cell_length_b 5.2751
_cell_length_c 8.9552
_cell_angle_alpha 73.22
_cell_angle_beta 89.56
_cell_angle_gamma 61.46
_symmetry_space_group_name_H-M 'P 1'
_symmetry_Int_Tables_number 1
_symmetry_space_group_name_Hall 'P 1'
loop_
_atom_site_label
_atom_site_fract_x
_atom_site_fract_y
_atom_site_fract_z
V1 0.0000 0.0000 0.0000
V2 0.2244 0.4862 0.7497
V3 0.5319 0.9784 0.5059
V4 0.7696 0.5146 0.2487
O1 0.1031 0.2456 0.8388
O2 0.8978 0.7469 0.5849
O3 0.8987 0.7485 0.1653
F1 0.0182 0.7599 0.8732
F2 0.0827 0.2482 0.4274
F3 0.3937 0.7654 0.6712
F4 0.4195 0.7265 0.0811
F5 0.4718 0.2643 0.6190
F6 0.5148 0.7465 0.3762
F7 0.5814 0.2467 0.3265
F8 0.5825 0.2716 0.9184
F9 0.9836 0.2298 0.1337
```


Entry three
Density functional theory data (r²SCAN) for V4O3F9 after structural relaxation.

Cell and atoms, written as CIF:
```
data_V4O3F9
_cell_length_a 5.0539
_cell_length_b 5.3042
_cell_length_c 7.3489
_cell_angle_alpha 93.42
_cell_angle_beta 90.01
_cell_angle_gamma 90.61
_symmetry_space_group_name_H-M 'P 1'
_symmetry_Int_Tables_number 1
_symmetry_space_group_name_Hall 'P 1'
loop_
_atom_site_label
_atom_site_fract_x
_atom_site_fract_y
_atom_site_fract_z
V1 0.0000 0.0000 0.0000
V2 0.0364 0.9656 0.5089
V3 0.5102 0.5107 0.0158
V4 0.5573 0.4927 0.5141
O1 0.3341 0.7636 0.0551
O2 0.7453 0.7551 0.5507
O3 0.7499 0.1774 0.9557
F1 0.1561 0.9703 0.7583
F2 0.2384 0.6649 0.4515
F3 0.2469 0.2639 0.0733
F4 0.3483 0.1759 0.4564
F5 0.4235 0.4598 0.7590
F6 0.6527 0.4659 0.2551
F7 0.8378 0.6719 0.9463
F8 0.8460 0.2689 0.5659
F9 0.9300 0.9686 0.2562
```


Stability verdict: entry two, ahead by 15 meV per atom